# 1
DFT (PBE-GGA) results for Na4Sn2Ge5O17 after structural relaxation.

abc: 7.0942 5.4580 21.2937
angles: 90.00 106.11 90.00
Last column: nearest neighbours and their distance in Å.
Positions (direct):
1 Na 0.1100 0.2447 0.4720  5 O 2.40-2.64
2 Na 0.1100 0.7553 0.9720  5 O 2.40-2.64
3 Na 0.2461 0.9997 0.2906  5 O 2.30-2.55
4 Na 0.2461 0.0003 0.7906  5 O 2.30-2.55
5 Na 0.7539 0.9997 0.2094  5 O 2.30-2.55
6 Na 0.7539 0.0003 0.7094  5 O 2.30-2.55
7 Na 0.8900 0.2447 0.0280  5 O 2.40-2.64
8 Na 0.8900 0.7553 0.5280  5 O 2.40-2.64
9 Sn 0.3855 0.2393 0.0889  6 O 2.07-2.12
10 Sn 0.3855 0.7607 0.5889  6 O 2.07-2.12
11 Sn 0.6145 0.2393 0.4111  6 O 2.07-2.12
12 Sn 0.6145 0.7607 0.9111  6 O 2.07-2.12
13 Ge 0.1513 0.2517 0.6345  4 O 1.76-1.81
14 Ge 0.1513 0.7483 0.1345  4 O 1.76-1.81
15 Ge 0.3139 0.2847 0.9237  4 O 1.76-1.82
16 Ge 0.3139 0.7153 0.4237  4 O 1.76-1.82
17 Ge 0.5000 0.4960 0.7500  4 O 1.75-1.79
18 Ge 0.5000 0.5040 0.2500  4 O 1.75-1.79
19 Ge 0.6861 0.2847 0.5763  4 O 1.76-1.82
20 Ge 0.6861 0.7153 0.0763  4 O 1.76-1.82
21 Ge 0.8487 0.2517 0.8655  4 O 1.76-1.81
22 Ge 0.8487 0.7483 0.3655  4 O 1.76-1.81
23 O 0.0000 0.3071 0.2500  2 Na 2.40
24 O 0.0000 0.6929 0.7500  2 Na 2.40
25 O 0.0907 0.2901 0.8558  2 Ge 1.80-1.82
26 O 0.0907 0.7099 0.3558  2 Ge 1.80-1.82
27 O 0.1550 0.0592 0.1125  1 Ge 1.76
28 O 0.1550 0.9408 0.6125  1 Ge 1.76
29 O 0.1908 0.4595 0.5761  1 Ge 1.76
30 O 0.1908 0.5405 0.0761  1 Ge 1.76
31 O 0.2450 0.1610 0.9911  1 Ge 1.77
32 O 0.2450 0.8390 0.4911  1 Ge 1.77
33 O 0.2974 0.2924 0.7180  2 Ge 1.79-1.81
34 O 0.2974 0.7076 0.2180  2 Ge 1.79-1.81
35 O 0.3833 0.4039 0.4368  1 Ge 1.77
36 O 0.3833 0.5961 0.9368  1 Ge 1.77
37 O 0.4659 0.0953 0.8920  1 Ge 1.76
38 O 0.4656 0.3205 0.3132  1 Ge 1.75
39 O 0.4656 0.6795 0.8132  1 Ge 1.75
40 O 0.4659 0.9047 0.3920  1 Ge 1.76
41 O 0.5341 0.0953 0.6080  1 Ge 1.76
42 O 0.5344 0.3205 0.1868  1 Ge 1.75
43 O 0.5344 0.6795 0.6868  1 Ge 1.75
44 O 0.5341 0.9047 0.1080  1 Ge 1.76
45 O 0.6167 0.4039 0.0632  1 Ge 1.77
46 O 0.6167 0.5961 0.5632  1 Ge 1.77
47 O 0.7026 0.2924 0.7820  2 Ge 1.79-1.81
48 O 0.7026 0.7076 0.2820  2 Ge 1.79-1.81
49 O 0.7550 0.1610 0.5089  1 Ge 1.77
50 O 0.7550 0.8390 0.0089  1 Ge 1.77
51 O 0.8092 0.4595 0.9239  1 Ge 1.76
52 O 0.8092 0.5405 0.4239  1 Ge 1.76
53 O 0.8450 0.0592 0.3875  1 Ge 1.76
54 O 0.8450 0.9408 0.8875  1 Ge 1.76
55 O 0.9093 0.2901 0.6442  2 Ge 1.80-1.82
56 O 0.9093 0.7099 0.1442  2 Ge 1.80-1.82

Summary:
Electronic total energy: -5.879 eV/atom
MP2020-corrected energy: -176.29 eV/f.u.
E_form: -1.99 eV per atom
Crystal system: monoclinic

***

# 2
DFT (PBE-GGA) results for Na4Sn2Ge5O17 after structural relaxation.

abc: 7.0844 5.4555 20.4323
angles: 90.00 93.25 90.00
Last column: nearest neighbours and their distance in Å.
Positions (direct):
1 Na 0.1061 0.0000 0.2210  4 O 2.39-2.47
2 Na 0.1985 0.7587 0.9598  5 O 2.32-2.51
3 Na 0.2905 0.7546 0.5404  5 O 2.28-2.55
4 Na 0.3813 0.5134 0.2768  5 O 2.40-2.59
5 Na 0.6187 0.5134 0.7232  5 O 2.40-2.59
6 Na 0.7094 0.7546 0.4596  5 O 2.28-2.55
7 Na 0.8015 0.7587 0.0402  5 O 2.32-2.51
8 Na 0.8939 0.0000 0.7790  4 O 2.39-2.47
9 Sn 0.0453 0.5180 0.6609  6 O 2.08-2.11
10 Sn 0.4532 0.9988 0.8402  6 O 2.07-2.11
11 Sn 0.5468 0.9988 0.1598  6 O 2.07-2.11
12 Sn 0.9547 0.5180 0.3391  6 O 2.08-2.11
13 Ge 0.0000 0.2568 0.5000  4 O 1.74-1.80
14 Ge 0.1404 0.4757 0.8267  4 O 1.76-1.81
15 Ge 0.2330 0.0114 0.3844  4 O 1.75-1.81
16 Ge 0.2684 0.5092 0.1151  4 O 1.76-1.80
17 Ge 0.3595 0.0390 0.6743  4 O 1.76-1.82
18 Ge 0.5000 0.2649 0.0000  4 O 1.75-1.79
19 Ge 0.6405 0.0390 0.3257  4 O 1.76-1.82
20 Ge 0.7316 0.5092 0.8849  4 O 1.76-1.80
21 Ge 0.7670 0.0114 0.6156  4 O 1.75-1.81
22 Ge 0.8596 0.4757 0.1733  4 O 1.76-1.81
23 O 0.0000 0.0761 0.0000  2 Na 2.40
24 O 0.0025 0.5931 0.7589  1 Ge 1.77
25 O 0.0169 0.4747 0.1063  2 Ge 1.79-1.81
26 O 0.0901 0.4420 0.5633  1 Ge 1.74
27 O 0.1380 0.2197 0.3257  1 Ge 1.76
28 O 0.1717 0.0515 0.4683  2 Ge 1.80-1.81
29 O 0.1753 0.8519 0.6419  1 Ge 1.76
30 O 0.1966 0.1643 0.8143  1 Ge 1.77
31 O 0.2068 0.7042 0.3605  1 Ge 1.75
32 O 0.2946 0.8226 0.1347  1 Ge 1.76
33 O 0.3020 0.3503 0.6872  1 Ge 1.77
34 O 0.3222 0.6665 0.8592  1 Ge 1.76
35 O 0.3298 0.4683 0.0318  2 Ge 1.79-1.80
36 O 0.3687 0.3026 0.1731  1 Ge 1.76
37 O 0.3928 0.0860 0.9375  1 Ge 1.75
38 O 0.4861 0.0430 0.3942  2 Ge 1.80-1.82
39 O 0.4933 0.9146 0.7424  1 Ge 1.77
40 O 0.5000 0.4489 0.5000  2 Na 2.41
41 O 0.5067 0.9146 0.2576  1 Ge 1.77
42 O 0.5139 0.0430 0.6058  2 Ge 1.80-1.82
43 O 0.6072 0.0860 0.0625  1 Ge 1.75
44 O 0.6313 0.3026 0.8269  1 Ge 1.76
45 O 0.6702 0.4683 0.9682  2 Ge 1.79-1.80
46 O 0.6778 0.6665 0.1408  1 Ge 1.76
47 O 0.6980 0.3503 0.3128  1 Ge 1.77
48 O 0.7054 0.8226 0.8653  1 Ge 1.76
49 O 0.7932 0.7042 0.6395  1 Ge 1.75
50 O 0.8034 0.1643 0.1857  1 Ge 1.77
51 O 0.8247 0.8519 0.3581  1 Ge 1.76
52 O 0.8283 0.0515 0.5317  2 Ge 1.80-1.81
53 O 0.8620 0.2197 0.6743  1 Ge 1.76
54 O 0.9099 0.4420 0.4367  1 Ge 1.74
55 O 0.9831 0.4747 0.8937  2 Ge 1.79-1.81
56 O 0.9975 0.5931 0.2411  1 Ge 1.77

Summary:
Electronic total energy: -5.880 eV/atom
MP2020-corrected energy: -176.33 eV/f.u.
E_form: -1.99 eV per atom
Crystal system: monoclinic

***

# 3
DFT (PBE-GGA) results for Na4SrGe6O15 after structural relaxation.

abc: 11.1015 11.1015 5.9947
angles: 90.00 90.00 120.00
Last column: nearest neighbours and their distance in Å.
Positions (direct):
1 Na 0.0000 0.0000 0.0000  6 O 2.49
2 Na 0.0000 0.0000 0.5000  6 O 2.49
3 Na 0.1237 0.8376 0.2500  5 O 2.41-2.54
4 Na 0.1624 0.2861 0.2500  5 O 2.41-2.54
5 Na 0.2861 0.1237 0.7500  5 O 2.41-2.54
6 Na 0.7139 0.8763 0.2500  5 O 2.41-2.54
7 Na 0.8376 0.7139 0.7500  5 O 2.41-2.54
8 Na 0.8763 0.1624 0.7500  5 O 2.41-2.54
9 Sr 0.3333 0.6667 0.2500  9 O 2.60-2.61
10 Sr 0.6667 0.3333 0.7500  9 O 2.60-2.61
11 Ge 0.0000 0.5000 0.0000  6 O 1.89-2.03
12 Ge 0.0000 0.5000 0.5000  6 O 1.89-2.03
13 Ge 0.1735 0.7857 0.7500  4 O 1.75-1.83
14 Ge 0.2143 0.3879 0.7500  4 O 1.75-1.83
15 Ge 0.3879 0.1735 0.2500  4 O 1.75-1.83
16 Ge 0.5000 0.0000 0.0000  6 O 1.89-2.03
17 Ge 0.5000 0.0000 0.5000  6 O 1.89-2.03
18 Ge 0.5000 0.5000 0.0000  6 O 1.89-2.03
19 Ge 0.5000 0.5000 0.5000  6 O 1.89-2.03
20 Ge 0.6121 0.8265 0.7500  4 O 1.75-1.83
21 Ge 0.7857 0.6121 0.2500  4 O 1.75-1.83
22 Ge 0.8265 0.2143 0.2500  4 O 1.75-1.83
23 O 0.0788 0.4609 0.2500  2 Ge 1.89
24 O 0.0848 0.8786 0.7500  1 Ge 1.75
25 O 0.0868 0.4460 0.7500  3 Ge 1.83-2.03
26 O 0.1214 0.2062 0.7500  1 Ge 1.75
27 O 0.1530 0.6862 0.5043  2 Ge 1.79-1.91
28 O 0.1530 0.6862 0.9957  2 Ge 1.79-1.91
29 O 0.2062 0.0848 0.2500  1 Ge 1.75
30 O 0.3138 0.4669 0.5043  2 Ge 1.79-1.91
31 O 0.3138 0.4669 0.9957  2 Ge 1.79-1.91
32 O 0.3593 0.9132 0.7500  3 Ge 1.83-2.03
33 O 0.3821 0.9212 0.2500  2 Ge 1.89
34 O 0.4460 0.3593 0.2500  3 Ge 1.83-2.03
35 O 0.4609 0.3821 0.7500  2 Ge 1.89
36 O 0.4669 0.1530 0.0043  2 Ge 1.79-1.91
37 O 0.4669 0.1530 0.4957  2 Ge 1.79-1.91
38 O 0.5331 0.8470 0.5043  2 Ge 1.79-1.91
39 O 0.5331 0.8470 0.9957  2 Ge 1.79-1.91
40 O 0.5391 0.6179 0.2500  2 Ge 1.89
41 O 0.5540 0.6407 0.7500  3 Ge 1.83-2.03
42 O 0.6179 0.0788 0.7500  2 Ge 1.89
43 O 0.6407 0.0868 0.2500  3 Ge 1.83-2.03
44 O 0.6862 0.5331 0.0043  2 Ge 1.79-1.91
45 O 0.6862 0.5331 0.4957  2 Ge 1.79-1.91
46 O 0.7938 0.9152 0.7500  1 Ge 1.75
47 O 0.8470 0.3138 0.0043  2 Ge 1.79-1.91
48 O 0.8470 0.3138 0.4957  2 Ge 1.79-1.91
49 O 0.8786 0.7938 0.2500  1 Ge 1.75
50 O 0.9132 0.5540 0.2500  3 Ge 1.83-2.03
51 O 0.9152 0.1214 0.2500  1 Ge 1.75
52 O 0.9212 0.5391 0.7500  2 Ge 1.89

Summary:
Electronic total energy: -6.051 eV/atom
MP2020-corrected energy: -167.64 eV/f.u.
E_form: -2.26 eV per atom
Crystal system: hexagonal